1.
Entry from the Materials Project database: a geometry-optimized Tb2O3 structure (PBE).

a b c (Å): 5.3836 5.3836 5.3836
angles (deg): 90.00 90.00 90.00
Fractional positions:
Tb  0.7500  0.2500  0.7500
O  0.0000  0.5000  0.5000
O  0.5000  0.0000  0.5000
O  0.0000  0.5000  0.0000
O  0.5000  0.5000  0.0000
O  0.5000  0.0000  0.0000
Tb  0.2500  0.2500  0.2500
Tb  0.2500  0.7500  0.7500
O  0.0000  0.0000  0.5000
Tb  0.7500  0.7500  0.2500

Properties
Magnetization (μB per cell): 0.0
Energy (eV per atom): -7.914
Crystal system: cubic

***

2.
Entry from the Materials Project database: a geometry-optimized Tb6O11 structure (PBE).

a b c (Å): 6.7115 12.0174 12.7762
angles (deg): 74.24 81.46 79.98
Fractional positions:
O  0.4039  0.0968  0.4153
O  0.2577  0.5779  0.7892
O  0.4306  0.9361  0.9383
Tb  0.2267  0.0805  0.0060
O  0.8001  0.5672  0.2788
O  0.2025  0.9442  0.7027
O  0.9122  0.2451  0.3767
O  0.2580  0.7446  0.2280
O  0.0875  0.4085  0.1040
O  0.5694  0.0639  0.0617
Tb  0.6575  0.2429  0.9597
Tb  0.9439  0.0914  0.7230
O  0.1796  0.0907  0.1865
Tb  0.3425  0.7571  0.0403
O  0.0188  0.0935  0.5400
Tb  0.8712  0.6028  0.0889
O  0.0327  0.5788  0.5334
O  0.3530  0.3997  0.3334
O  0.7423  0.4221  0.2108
O  0.0410  0.9229  0.0945
O  0.9812  0.9065  0.4600
Tb  0.8953  0.4207  0.6536
Tb  0.7733  0.9195  0.9940
O  0.8149  0.4042  0.8393
Tb  0.5698  0.7292  0.3000
Tb  0.4897  0.0794  0.2384
Tb  0.0561  0.9086  0.2770
O  0.6488  0.7682  0.1153
O  0.7420  0.2554  0.7720
O  0.5961  0.9032  0.5847
O  0.5824  0.4222  0.5901
Tb  0.7266  0.0706  0.4789
O  0.4767  0.7540  0.4845
O  0.9711  0.2403  0.0161
O  0.4335  0.4117  0.9666
O  0.1851  0.5958  0.1607
Tb  0.6599  0.4114  0.4045
O  0.1317  0.2473  0.6481
Tb  0.0874  0.7645  0.8031
O  0.1999  0.4328  0.7212
Tb  0.5817  0.5649  0.8587
O  0.5233  0.2460  0.5155
O  0.0878  0.7549  0.6233
O  0.4099  0.7470  0.8476
O  0.6470  0.6003  0.6666
Tb  0.4302  0.2708  0.7000
Tb  0.2734  0.9294  0.5211
O  0.0289  0.7597  0.9839
Tb  0.1047  0.5793  0.3464
Tb  0.5103  0.9206  0.7617
Tb  0.3401  0.5886  0.5955
O  0.9590  0.0771  0.9055
O  0.6210  0.0990  0.6724
Tb  0.4183  0.4351  0.1413
Tb  0.8059  0.7484  0.5339
Tb  0.1941  0.2516  0.4661
O  0.8204  0.9093  0.8135
O  0.5901  0.2530  0.1524
O  0.9673  0.4212  0.4666
Tb  0.1288  0.3972  0.9111
O  0.3512  0.2318  0.8847
O  0.5665  0.5883  0.0334
O  0.8683  0.7527  0.3519
O  0.7975  0.0558  0.2973
O  0.4176  0.5778  0.4099
O  0.9125  0.5915  0.8960
Tb  0.9126  0.2355  0.1969
O  0.3790  0.9010  0.3276

Properties
Magnetization (μB per cell): 16.0
Energy (eV per atom): -7.815
Crystal system: triclinic

***

3.
Entry from the Materials Project database: a geometry-optimized TbO3 structure (PBE).

a b c (Å): 6.5532 6.5532 3.4478
angles (deg): 90.00 90.00 120.00
Fractional positions:
Tb  0.3333  0.6667  0.7500
Tb  0.6667  0.3333  0.2500
O  0.6320  0.0585  0.7500
O  0.3680  0.9415  0.2500
O  0.4266  0.3680  0.7500
O  0.5734  0.6320  0.2500
O  0.9415  0.5734  0.7500
O  0.0585  0.4266  0.2500

Properties
Magnetization (μB per cell): 6.0
Energy (eV per atom): -6.400
Crystal system: hexagonal

***

4.
Entry from the Materials Project database: a geometry-optimized Tb2O3 structure (PBE).

a b c (Å): 3.8087 3.8087 5.5879
angles (deg): 90.00 90.00 90.00
Fractional positions:
O  0.5000  0.5000  0.0000
Tb  0.5000  0.0000  0.7879
O  0.0000  0.0000  0.5000
Tb  0.0000  0.5000  0.2121
O  0.0000  0.0000  0.0000

Properties
Magnetization (μB per cell): 0.0
Energy (eV per atom): -8.149
Crystal system: tetragonal

***

5.
Entry from the Materials Project database: a geometry-optimized Tb2O3 structure (PBE).

a b c (Å): 3.7047 3.7047 5.9053
angles (deg): 90.00 90.00 120.00
Fractional positions:
Tb  0.3333  0.6667  0.2498
Tb  0.6667  0.3333  0.7502
O  0.3333  0.6667  0.6453
O  0.6667  0.3333  0.3547
O  0.0000  0.0000  0.0000

Properties
Energy (eV per atom): -8.338
Crystal system: trigonal

***

6.
Entry from the Materials Project database: a geometry-optimized Tb2O3 structure (PBE).

a b c (Å): 7.2851 7.2851 8.7174
angles (deg): 79.99 79.99 28.08
Fractional positions:
O  0.8251  0.8251  0.9702
O  0.4713  0.4713  0.6567
O  0.1280  0.1280  0.7175
O  0.2058  0.2058  0.3766
Tb  0.0324  0.0324  0.1867
O  0.7942  0.7942  0.6234
O  0.5000  0.5000  0.0000
O  0.8720  0.8720  0.2825
Tb  0.6350  0.6350  0.5119
Tb  0.6912  0.6912  0.8627
Tb  0.3650  0.3650  0.4881
O  0.1749  0.1749  0.0298
O  0.5287  0.5287  0.3433
Tb  0.9676  0.9676  0.8133
Tb  0.3088  0.3088  0.1373

Properties
Energy (eV per atom): -8.354
Crystal system: monoclinic

***

7.
Entry from the Materials Project database: a geometry-optimized Tb7O12 structure (PBE).

a b c (Å): 6.6433 6.6433 6.6433
angles (deg): 99.50 99.50 99.50
Fractional positions:
O  0.9370  0.6738  0.0642
Tb  0.6085  0.1383  0.3022
O  0.0630  0.3262  0.9358
Tb  0.3915  0.8617  0.6978
O  0.9358  0.0630  0.3262
O  0.0642  0.9370  0.6738
O  0.5790  0.4360  0.1794
O  0.4360  0.1794  0.5790
O  0.1794  0.5790  0.4360
O  0.4210  0.5640  0.8206
O  0.8206  0.4210  0.5640
Tb  0.6978  0.3915  0.8617
Tb  0.0000  0.0000  0.0000
O  0.3262  0.9358  0.0630
O  0.6738  0.0642  0.9370
Tb  0.1383  0.3022  0.6085
Tb  0.3022  0.6085  0.1383
Tb  0.8617  0.6978  0.3915
O  0.5640  0.8206  0.4210

Properties
Magnetization (μB per cell): 3.0
Energy (eV per atom): -8.009
Crystal system: trigonal

***

8.
Entry from the Materials Project database: a geometry-optimized Tb2O3 structure (PBE).

a b c (Å): 9.3047 9.3047 9.3047
angles (deg): 109.47 109.47 109.47
Fractional positions:
O  0.2399  0.9695  0.5116
O  0.7703  0.5421  0.5305
O  0.2283  0.2703  0.7399
Tb  0.4678  0.2500  0.7178
O  0.0116  0.0421  0.2717
O  0.9884  0.9579  0.7283
Tb  0.2178  0.9678  0.2500
O  0.0305  0.4884  0.7601
Tb  0.2500  0.2178  0.9678
O  0.4579  0.4695  0.2297
Tb  0.0322  0.7500  0.7822
O  0.7601  0.0305  0.4884
Tb  0.0000  0.0000  0.5000
O  0.9579  0.7283  0.9884
Tb  0.7178  0.4678  0.2500
Tb  0.2500  0.7178  0.4678
O  0.4695  0.2297  0.4579
O  0.7717  0.7297  0.2601
Tb  0.5322  0.7500  0.2822
Tb  0.5000  0.0000  0.0000
O  0.5305  0.7703  0.5421
Tb  0.7500  0.7822  0.0322
O  0.5116  0.2399  0.9695
Tb  0.5000  0.5000  0.5000
Tb  0.7822  0.0322  0.7500
O  0.9695  0.5116  0.2399
Tb  0.2822  0.5322  0.7500
O  0.7399  0.2283  0.2703
O  0.2703  0.7399  0.2283
O  0.2297  0.4579  0.4695
O  0.4884  0.7601  0.0305
Tb  0.9678  0.2500  0.2178
O  0.7283  0.9884  0.9579
O  0.0421  0.2717  0.0116
O  0.5421  0.5305  0.7703
O  0.2717  0.0116  0.0421
O  0.2601  0.7717  0.7297
Tb  0.7500  0.2822  0.5322
O  0.7297  0.2601  0.7717
Tb  0.0000  0.5000  0.0000

Properties
Energy (eV per atom): -8.394
Crystal system: cubic

***

9.
Entry from the Materials Project database: a geometry-optimized TbTeO3 structure (PBE).

a b c (Å): 4.2707 4.2707 4.2707
angles (deg): 90.00 90.00 90.00
Fractional positions:
O  0.5000  0.5000  0.0000
O  0.5000  0.0000  0.5000
O  0.0000  0.5000  0.5000
Te  0.5000  0.5000  0.5000
Tb  0.0000  0.0000  0.0000

Properties
Magnetization (μB per cell): 0.0
Energy (eV per atom): -5.723
Crystal system: cubic

***

10.
Entry from the Materials Project database: a geometry-optimized Tb2Te4O11 structure (PBE).

a b c (Å): 6.7800 6.7800 17.8420
angles (deg): 64.70 64.70 45.02
Fractional positions:
O  0.8353  0.5095  0.0974
O  0.9326  0.3205  0.8765
Te  0.7034  0.6400  0.1948
O  0.4269  0.0339  0.1656
O  0.2731  0.0109  0.0409
O  0.3158  0.9455  0.3736
O  0.5129  0.8414  0.5982
Tb  0.6576  0.6748  0.4591
Tb  0.3478  0.3292  0.0341
O  0.0518  0.6880  0.1246
O  0.7177  0.0208  0.9548
O  0.1470  0.4900  0.9057
O  0.9965  0.7295  0.4571
O  0.7306  0.2940  0.4496
Te  0.0384  0.9454  0.6252
Te  0.0480  0.9522  0.8740
Te  0.9500  0.0352  0.1280
O  0.3149  0.7148  0.9449
O  0.9751  0.5601  0.3344
Tb  0.3260  0.3224  0.5390
O  0.5763  0.9742  0.8275
O  0.6859  0.2846  0.0568
O  0.6797  0.0563  0.6286
Tb  0.6624  0.6744  0.9660
O  0.4815  0.1624  0.4010
O  0.9808  0.2870  0.5484
O  0.3886  0.6026  0.2510
Te  0.6391  0.7094  0.6944
Te  0.9761  0.0209  0.3779
Te  0.3500  0.3058  0.3005
O  0.6069  0.4015  0.7465
O  0.0535  0.4117  0.6655
O  0.2744  0.6908  0.5568
Te  0.3113  0.3421  0.8055

Properties
Distance to the lowest polymorph of the same formula (meV per atom): 51
Magnetization (μB per cell): 0.0
Crystal system: triclinic

***

11.
Entry from the Materials Project database: a geometry-optimized Tb2Te4O11 structure (PBE).

a b c (Å): 6.7800 6.7800 16.3841
angles (deg): 76.06 76.06 45.02
Fractional positions:
O  0.8216  0.0392  0.4550
O  0.4451  0.6032  0.4033
O  0.3366  0.2475  0.9476
O  0.2049  0.0924  0.8326
Te  0.1576  0.6005  0.1982
O  0.7951  0.9076  0.1674
Tb  0.6310  0.1310  0.0372
O  0.6634  0.7525  0.0524
Tb  0.3690  0.8690  0.9628
O  0.1459  0.8541  0.2500
Tb  0.1310  0.6310  0.5372
Te  0.8424  0.3995  0.8018
Te  0.1536  0.5883  0.8750
O  0.0392  0.8216  0.9550
Te  0.4117  0.8464  0.6250
O  0.9608  0.1784  0.0450
O  0.9076  0.7951  0.6674
Te  0.6005  0.1576  0.6982
O  0.8107  0.6833  0.8728
O  0.6032  0.4451  0.9033
Te  0.3995  0.8424  0.3018
O  0.1893  0.3167  0.1272
O  0.3968  0.5549  0.0967
O  0.5549  0.3968  0.5967
Te  0.8464  0.4117  0.1250
Te  0.5883  0.1536  0.3750
O  0.2475  0.3366  0.4476
O  0.8541  0.1459  0.7500
O  0.1784  0.9608  0.5450
O  0.0924  0.2049  0.3326
O  0.3167  0.1893  0.6272
Tb  0.8690  0.3690  0.4628
O  0.6833  0.8107  0.3728
O  0.7525  0.6634  0.5524

Properties
Distance to the lowest polymorph of the same formula (meV per atom): 0
Crystal system: monoclinic

***

12.
Entry from the Materials Project database: a geometry-optimized Tb5Ti5O17 structure (PBE).

a b c (Å): 3.8618 5.4531 31.7514
angles (deg): 90.00 90.00 90.00
Fractional positions:
Tb  0.5000  0.7353  0.2929
O  0.0000  0.9652  0.2663
Ti  0.5000  0.2427  0.7057
O  0.5000  0.0385  0.5819
Tb  0.5000  0.6795  0.0709
O  0.5000  0.8954  0.8504
O  0.0000  0.4591  0.2426
O  0.0000  0.5452  0.1616
O  0.0000  0.1996  0.7162
O  0.5000  0.2421  0.4644
O  0.0000  0.7579  0.9644
Ti  0.0000  0.7573  0.2057
O  0.5000  0.8004  0.2162
Tb  0.0000  0.7932  0.8907
O  0.0000  0.0741  0.1762
O  0.5000  0.4521  0.0075
Tb  0.0000  0.7317  0.6989
O  0.0000  0.7232  0.6256
Tb  0.0000  0.1803  0.0168
O  0.0000  0.1046  0.3504
Ti  0.5000  0.2436  0.8824
Tb  0.0000  0.2647  0.7929
O  0.0000  0.6982  0.7986
Ti  0.5000  0.7397  0.7967
Tb  0.0000  0.3205  0.5709
O  0.0000  0.6029  0.3252
Ti  0.0000  0.2799  0.4689
O  0.5000  0.2768  0.1256
O  0.0000  0.2146  0.8722
Ti  0.0000  0.7564  0.3824
O  0.0000  0.4546  0.0703
Ti  0.0000  0.2603  0.2967
O  0.5000  0.3018  0.2986
Tb  0.5000  0.2683  0.1989
O  0.0000  0.9803  0.4280
Ti  0.5000  0.7710  0.6191
O  0.0000  0.9615  0.0819
O  0.0000  0.0512  0.5180
O  0.5000  0.3971  0.8252
O  0.5000  0.0348  0.7663
O  0.5000  0.5454  0.5703
O  0.5000  0.0197  0.9280
O  0.5000  0.5403  0.9129
O  0.0000  0.5479  0.5075
O  0.5000  0.9259  0.6762
O  0.5000  0.7854  0.3722
O  0.5000  0.5409  0.7426
O  0.5000  0.9488  0.0180
O  0.5000  0.4548  0.6616
Tb  0.5000  0.2068  0.3907
Ti  0.0000  0.2290  0.1191
O  0.0000  0.4597  0.4129
Ti  0.5000  0.7201  0.9689
Tb  0.5000  0.8197  0.5168

Properties
Magnetization (μB per cell): 0.8
Energy (eV per atom): -8.706
Crystal system: orthorhombic

***

13.
Entry from the Materials Project database: a geometry-optimized TbTiO3 structure (PBE).

a b c (Å): 5.3656 5.7134 7.7234
angles (deg): 90.00 90.00 90.00
Fractional positions:
Ti  0.0000  0.5000  0.0000
O  0.8079  0.8009  0.4424
O  0.3823  0.9570  0.2500
O  0.1921  0.1991  0.5576
Ti  0.5000  0.0000  0.5000
Tb  0.9789  0.0698  0.2500
Tb  0.5211  0.5698  0.2500
Ti  0.5000  0.0000  0.0000
O  0.3079  0.6991  0.5576
O  0.6921  0.3009  0.4424
O  0.6177  0.0430  0.7500
Tb  0.0211  0.9302  0.7500
O  0.1177  0.4570  0.2500
O  0.8823  0.5430  0.7500
O  0.1921  0.1991  0.9424
Tb  0.4789  0.4302  0.7500
O  0.8079  0.8009  0.0576
O  0.3079  0.6991  0.9424
Ti  0.0000  0.5000  0.5000
O  0.6921  0.3009  0.0576

Properties
Magnetization (μB per cell): 4.0
Energy (eV per atom): -8.691
Crystal system: orthorhombic

***

14.
Entry from the Materials Project database: a geometry-optimized Tb2Y2O5 structure (PBE).

a b c (Å): 3.9080 3.9080 9.8753
angles (deg): 90.00 90.00 90.00
Fractional positions:
O  0.0000  0.5000  0.8595
O  0.5000  0.0000  0.8595
O  0.5000  0.0000  0.1405
Tb  0.5000  0.5000  0.2370
Tb  0.5000  0.5000  0.7630
O  0.0000  0.5000  0.1405
O  0.5000  0.5000  0.5000
Y  0.0000  0.0000  0.5000
Y  0.0000  0.0000  0.0000

Properties
Magnetization (μB per cell): 1.6
Energy (eV per atom): -8.091
Crystal system: tetragonal